# 1
## Mn3SbO8 (GGA+U)

Data for a relaxed structure of Mn3SbO8.

CIF file:
```
data_Mn3SbO8
_cell_length_a 8.411
_cell_length_b 8.411
_cell_length_c 8.711
_cell_angle_alpha 90.00
_cell_angle_beta 90.00
_cell_angle_gamma 90.00
_space_group_name_H-M_alt 'P 1'
_space_group_IT_number 1
_space_group_name_Hall 'P 1'
loop_
_atom_site_label
_atom_site_type_symbol
_atom_site_fract_x
_atom_site_fract_y
_atom_site_fract_z
_atom_site_occupancy
Mn1 Mn 0.364 0.636 0.250 1
Mn2 Mn 0.379 0.882 0.501 1
Mn3 Mn 0.382 0.121 0.751 1
Mn4 Mn 0.618 0.879 0.251 1
Mn5 Mn 0.621 0.118 0.001 1
Mn6 Mn 0.636 0.364 0.750 1
Mn7 Mn 0.864 0.864 0.000 1
Mn8 Mn 0.879 0.618 0.749 1
Mn9 Mn 0.882 0.379 0.499 1
Mn10 Mn 0.118 0.621 0.999 1
Mn11 Mn 0.121 0.382 0.249 1
Mn12 Mn 0.136 0.136 0.500 1
Sb1 Sb 0.375 0.375 0.000 1
Sb2 Sb 0.625 0.625 0.500 1
Sb3 Sb 0.875 0.125 0.250 1
Sb4 Sb 0.125 0.875 0.750 1
O1 O 0.347 0.610 0.996 1
O2 O 0.352 0.397 0.233 1
O3 O 0.368 0.114 0.529 1
O4 O 0.390 0.653 0.504 1
O5 O 0.369 0.889 0.730 1
O6 O 0.386 0.868 0.279 1
O7 O 0.389 0.131 0.980 1
O8 O 0.397 0.352 0.767 1
O9 O 0.603 0.648 0.267 1
O10 O 0.611 0.869 0.480 1
O11 O 0.614 0.132 0.779 1
O12 O 0.631 0.111 0.230 1
O13 O 0.610 0.347 0.004 1
O14 O 0.632 0.886 0.029 1
O15 O 0.648 0.603 0.733 1
O16 O 0.653 0.390 0.496 1
O17 O 0.847 0.890 0.254 1
O18 O 0.852 0.103 0.017 1
O19 O 0.868 0.386 0.721 1
O20 O 0.890 0.847 0.746 1
O21 O 0.869 0.611 0.520 1
O22 O 0.886 0.632 0.971 1
O23 O 0.889 0.369 0.270 1
O24 O 0.897 0.148 0.483 1
O25 O 0.103 0.852 0.983 1
O26 O 0.111 0.631 0.770 1
O27 O 0.114 0.368 0.471 1
O28 O 0.131 0.389 0.020 1
O29 O 0.110 0.153 0.246 1
O30 O 0.132 0.614 0.221 1
O31 O 0.148 0.897 0.517 1
O32 O 0.153 0.110 0.754 1
```

Properties
Distance to the lowest polymorph of the same formula in meV/atom: 39.5
Energy of formation in kcal/mol of atoms: -40.91
Energy in eV per atom: -6.832

=====

# 2
## MnSbO4 (GGA+U)

Data for a relaxed structure of MnSbO4.

CIF file:
```
data_MnSbO4
_cell_length_a 5.666
_cell_length_b 8.001
_cell_length_c 7.992
_cell_angle_alpha 112.24
_cell_angle_beta 100.50
_cell_angle_gamma 69.07
_space_group_name_H-M_alt 'P 1'
_space_group_IT_number 1
_space_group_name_Hall 'P 1'
loop_
_atom_site_label
_atom_site_type_symbol
_atom_site_fract_x
_atom_site_fract_y
_atom_site_fract_z
_atom_site_occupancy
Mn1 Mn 0.517 0.502 0.992 1
Mn2 Mn 0.730 0.749 0.508 1
Mn3 Mn 0.981 0.997 0.007 1
Mn4 Mn 0.270 0.251 0.495 1
Sb1 Sb 0.431 0.189 0.120 1
Sb2 Sb 0.698 0.435 0.622 1
Sb3 Sb 0.943 0.687 0.130 1
Sb4 Sb 0.178 0.939 0.627 1
O1 O 0.189 0.146 0.238 1
O2 O 0.447 0.383 0.724 1
O3 O 0.683 0.628 0.213 1
O4 O 0.930 0.893 0.726 1
O5 O 0.699 0.225 0.026 1
O6 O 0.930 0.502 0.524 1
O7 O 0.176 0.750 0.025 1
O8 O 0.443 0.974 0.525 1
O9 O 0.251 0.057 0.900 1
O10 O 0.518 0.302 0.394 1
O11 O 0.771 0.548 0.892 1
O12 O 0.001 0.801 0.396 1
O13 O 0.252 0.451 0.101 1
O14 O 0.481 0.695 0.608 1
O15 O 0.729 0.946 0.108 1
O16 O 0.002 0.200 0.598 1
```

Properties
Energy of formation in kcal/mol of atoms: -43.64
Energy in eV per atom: -6.670

=====

# 3
## MnSb2O6 (GGA+U)

Data for a relaxed structure of MnSb2O6.

CIF file:
```
data_MnSb2O6
_cell_length_a 7.105
_cell_length_b 7.105
_cell_length_c 10.310
_cell_angle_alpha 72.06
_cell_angle_beta 74.73
_cell_angle_gamma 99.82
_space_group_name_H-M_alt 'P 1'
_space_group_IT_number 1
_space_group_name_Hall 'P 1'
loop_
_atom_site_label
_atom_site_type_symbol
_atom_site_fract_x
_atom_site_fract_y
_atom_site_fract_z
_atom_site_occupancy
Mn1 Mn 0.000 0.500 0.500 1
Mn2 Mn 0.500 0.750 0.750 1
Mn3 Mn 0.000 0.000 0.000 1
Mn4 Mn 0.500 0.250 0.250 1
Sb1 Sb 0.417 0.792 0.125 1
Sb2 Sb 0.917 0.042 0.375 1
Sb3 Sb 0.417 0.292 0.625 1
Sb4 Sb 0.917 0.542 0.875 1
Sb5 Sb 0.583 0.708 0.375 1
Sb6 Sb 0.083 0.958 0.625 1
Sb7 Sb 0.583 0.208 0.875 1
Sb8 Sb 0.083 0.458 0.125 1
O1 O 0.314 0.701 0.343 1
O2 O 0.814 0.951 0.593 1
O3 O 0.314 0.201 0.843 1
O4 O 0.814 0.451 0.093 1
O5 O 0.135 0.754 0.111 1
O6 O 0.635 0.004 0.361 1
O7 O 0.135 0.254 0.611 1
O8 O 0.635 0.504 0.861 1
O9 O 0.456 0.093 0.093 1
O10 O 0.956 0.343 0.343 1
O11 O 0.456 0.593 0.593 1
O12 O 0.956 0.843 0.843 1
O13 O 0.686 0.799 0.157 1
O14 O 0.186 0.049 0.407 1
O15 O 0.686 0.299 0.657 1
O16 O 0.186 0.549 0.907 1
O17 O 0.365 0.496 0.139 1
O18 O 0.865 0.746 0.389 1
O19 O 0.365 0.996 0.639 1
O20 O 0.865 0.246 0.889 1
O21 O 0.544 0.407 0.407 1
O22 O 0.044 0.657 0.657 1
O23 O 0.544 0.907 0.907 1
O24 O 0.044 0.157 0.157 1
```

Properties
Energy of formation in kcal/mol of atoms: -45.32
Energy in eV per atom: -6.556

=====

# 4
## MnSbO4 (GGA+U)

Data for a relaxed structure of MnSbO4.

CIF file:
```
data_MnSbO4
_cell_length_a 3.960
_cell_length_b 7.998
_cell_length_c 10.643
_cell_angle_alpha 72.96
_cell_angle_beta 90.00
_cell_angle_gamma 75.66
_space_group_name_H-M_alt 'P 1'
_space_group_IT_number 1
_space_group_name_Hall 'P 1'
loop_
_atom_site_label
_atom_site_type_symbol
_atom_site_fract_x
_atom_site_fract_y
_atom_site_fract_z
_atom_site_occupancy
Mn1 Mn 0.499 0.002 0.509 1
Mn2 Mn 0.749 0.503 0.740 1
Mn3 Mn 0.999 0.002 0.009 1
Mn4 Mn 0.253 0.494 0.242 1
Sb1 Sb 0.065 0.870 0.315 1
Sb2 Sb 0.313 0.374 0.559 1
Sb3 Sb 0.561 0.878 0.819 1
Sb4 Sb 0.812 0.376 0.056 1
O1 O 0.016 0.969 0.465 1
O2 O 0.258 0.484 0.706 1
O3 O 0.512 0.976 0.972 1
O4 O 0.764 0.473 0.209 1
O5 O 0.108 0.784 0.156 1
O6 O 0.370 0.261 0.417 1
O7 O 0.605 0.789 0.663 1
O8 O 0.868 0.265 0.913 1
O9 O 0.556 0.889 0.339 1
O10 O 0.800 0.399 0.587 1
O11 O 0.052 0.896 0.856 1
O12 O 0.302 0.396 0.088 1
O13 O 0.947 0.105 0.156 1
O14 O 0.201 0.598 0.400 1
O15 O 0.444 0.112 0.669 1
O16 O 0.697 0.605 0.904 1
```

Properties
Energy of formation in kcal/mol of atoms: -43.48
Energy in eV per atom: -6.663

=====

# 5
## MnSb2O6 (GGA+U)

Data for a relaxed structure of MnSb2O6.

CIF file:
```
data_MnSb2O6
_cell_length_a 6.948
_cell_length_b 7.407
_cell_length_c 9.236
_cell_angle_alpha 110.70
_cell_angle_beta 90.00
_cell_angle_gamma 90.00
_space_group_name_H-M_alt 'P 1'
_space_group_IT_number 1
_space_group_name_Hall 'P 1'
loop_
_atom_site_label
_atom_site_type_symbol
_atom_site_fract_x
_atom_site_fract_y
_atom_site_fract_z
_atom_site_occupancy
Mn1 Mn 0.500 0.172 0.172 1
Mn2 Mn 0.500 0.495 0.494 1
Mn3 Mn 0.000 0.172 0.672 1
Mn4 Mn 0.000 0.494 0.994 1
Sb1 Sb 0.000 0.333 0.333 1
Sb2 Sb 0.500 0.333 0.833 1
Sb3 Sb 0.000 0.833 0.333 1
Sb4 Sb 0.500 0.833 0.833 1
Sb5 Sb 0.000 0.012 0.005 1
Sb6 Sb 0.500 0.012 0.505 1
Sb7 Sb 0.000 0.654 0.661 1
Sb8 Sb 0.500 0.654 0.161 1
O1 O 0.000 0.858 0.559 1
O2 O 0.500 0.858 0.059 1
O3 O 0.000 0.809 0.108 1
O4 O 0.500 0.809 0.608 1
O5 O 0.000 0.195 0.901 1
O6 O 0.500 0.195 0.401 1
O7 O 0.000 0.472 0.766 1
O8 O 0.500 0.471 0.266 1
O9 O 0.000 0.546 0.239 1
O10 O 0.500 0.546 0.739 1
O11 O 0.000 0.120 0.428 1
O12 O 0.500 0.120 0.928 1
O13 O 0.692 0.833 0.333 1
O14 O 0.192 0.833 0.833 1
O15 O 0.308 0.833 0.333 1
O16 O 0.808 0.833 0.833 1
O17 O 0.313 0.173 0.671 1
O18 O 0.813 0.173 0.171 1
O19 O 0.687 0.173 0.671 1
O20 O 0.187 0.173 0.171 1
O21 O 0.687 0.493 0.996 1
O22 O 0.187 0.493 0.496 1
O23 O 0.313 0.493 0.996 1
O24 O 0.813 0.493 0.496 1
```

Properties
Energy of formation in kcal/mol of atoms: -44.33
Energy in eV per atom: -6.513

=====

# 6
## Mn5Sb3O16 (GGA+U)

Data for a relaxed structure of Mn5Sb3O16.

CIF file:
```
data_Mn5Sb3O16
_cell_length_a 6.127
_cell_length_b 6.049
_cell_length_c 9.107
_cell_angle_alpha 89.99
_cell_angle_beta 88.93
_cell_angle_gamma 119.57
_space_group_name_H-M_alt 'P 1'
_space_group_IT_number 1
_space_group_name_Hall 'P 1'
loop_
_atom_site_label
_atom_site_type_symbol
_atom_site_fract_x
_atom_site_fract_y
_atom_site_fract_z
_atom_site_occupancy
Mn1 Mn 0.344 0.672 0.495 1
Mn2 Mn 0.660 0.830 0.212 1
Mn3 Mn 0.683 0.341 0.985 1
Mn4 Mn 0.832 0.667 0.709 1
Mn5 Mn 0.832 0.165 0.709 1
Sb1 Sb 0.160 0.826 0.210 1
Sb2 Sb 0.160 0.333 0.210 1
Sb3 Sb 0.337 0.168 0.711 1
O1 O 0.173 0.834 0.605 1
O2 O 0.028 0.514 0.340 1
O3 O 0.309 0.655 0.087 1
O4 O 0.015 0.007 0.324 1
O5 O 0.994 0.997 0.813 1
O6 O 0.173 0.339 0.605 1
O7 O 0.467 0.947 0.337 1
O8 O 0.467 0.520 0.337 1
O9 O 0.337 0.169 0.098 1
O10 O 0.679 0.839 0.608 1
O11 O 0.530 0.481 0.840 1
O12 O 0.529 0.049 0.840 1
O13 O 0.673 0.336 0.599 1
O14 O 0.836 0.672 0.103 1
O15 O 0.946 0.473 0.835 1
O16 O 0.836 0.164 0.103 1
```

Properties
Energy of formation in kcal/mol of atoms: -41.61
Energy in eV per atom: -6.723